Record 1
The following is a PBE calculation of HoO after structural relaxation, from Materials Project.

Cell: 3.970 3.970 4.821 Å, 90.00 90.00 120.00°
Fractional positions:
Ho 0.333 0.667 0.250
Ho 0.667 0.333 0.750
O 0.333 0.667 0.750
O 0.667 0.333 0.250

***

Record 2
The following is a PBE calculation of Ho2O3 after structural relaxation, from Materials Project.

Cell: 3.765 3.765 5.523 Å, 90.00 90.00 90.00°
Fractional positions:
Ho 0.000 0.500 0.211
Ho 0.500 0.000 0.789
O 0.000 0.000 0.000
O 0.000 0.000 0.500
O 0.500 0.500 0.000

***

Record 3
The following is a PBE calculation of Ho2O3 after structural relaxation, from Materials Project.

Cell: 7.216 7.216 8.614 Å, 100.07 100.07 27.94°
Fractional positions:
Ho 0.032 0.032 0.314
Ho 0.309 0.309 0.363
Ho 0.365 0.365 0.012
Ho 0.635 0.635 0.988
Ho 0.691 0.691 0.637
Ho 0.968 0.968 0.686
O 0.128 0.128 0.782
O 0.175 0.175 0.469
O 0.206 0.206 0.123
O 0.471 0.471 0.843
O 0.500 0.500 0.500
O 0.529 0.529 0.157
O 0.794 0.794 0.877
O 0.825 0.825 0.531
O 0.872 0.872 0.218

***

Number 1: ΔE_f -3124.4 meV per atom. Number 2: ΔE_f -3770.7 meV per atom. Number 3: ΔE_f -3988.1 meV per atom.